HfPbO3 | GGA-PBE | optimized geometry

Results
calculated formation energy = -2.96 eV per atom

Unit cell a=4.1555 b=4.1555 c=4.1555 alpha=90.00 beta=90.00 gamma=90.00
Closest atoms and distances in Å follow each position.
Fractional coordinates of all 5 atoms:
1 Hf 0.0000 0.0000 0.0000  6 O 2.08
2 Pb 0.5000 0.5000 0.5000  12 O 2.94
3 O 0.0000 0.0000 0.5000  2 Hf 2.08
4 O 0.0000 0.5000 0.0000  2 Hf 2.08
5 O 0.5000 0.0000 0.0000  2 Hf 2.08